(1)
The following is a PBE calculation of KReO4 after structural relaxation, from the Materials Project database.

Theoretical density   4.36 g/cm³
V   110.25 Å³/f.u.
Energy of formation from the pure elements   -2.353 eV/atom

```
data_KReO4
_chemical_formula_sum 'K4 Re4 O16'
_cell_length_a 5.829
_cell_length_b 5.829
_cell_length_c 12.979
_cell_angle_alpha 90.00
_cell_angle_beta 90.00
_cell_angle_gamma 90.00
_symmetry_space_group_name_H-M 'I 41/a'
_symmetry_Int_Tables_number 88
loop_
_symmetry_equiv_pos_as_xyz
'x,y,z'
'-x,-y,-z'
'-y+3/4,x+1/4,z+1/4'
'y+3/4,-x+1/4,-z+1/4'
'-x+1/2,-y,z+1/2'
'x+1/2,y,-z+1/2'
'y+3/4,-x+3/4,z+3/4'
'-y+3/4,x+3/4,-z+3/4'
'x+1/2,y+1/2,z+1/2'
'-x+1/2,-y+1/2,-z+1/2'
'-y+1/4,x+3/4,z+3/4'
'y+1/4,-x+3/4,-z+3/4'
'-x,-y+1/2,z'
'x,y+1/2,-z'
'y+1/4,-x+1/4,z+1/4'
'-y+1/4,x+1/4,-z+1/4'
loop_
_atom_site_label
_atom_site_fract_x
_atom_site_fract_y
_atom_site_fract_z
_atom_site_occupancy
K1 0.000 0.250 0.125 1
Re1 0.000 0.250 0.625 1
O1 0.117 0.469 0.702 1
```

=====

(2)
The following is a PBE calculation of SnGeS3 after structural relaxation, from the Materials Project database.

Theoretical density   3.41 g/cm³
V   139.84 Å³/f.u.
Energy of formation from the pure elements   -0.685 eV/atom

```
data_SnGeS3
_chemical_formula_sum 'Sn4 Ge4 S12'
_cell_length_a 7.880
_cell_length_b 10.640
_cell_length_c 6.919
_cell_angle_alpha 90.00
_cell_angle_beta 105.37
_cell_angle_gamma 90.00
_symmetry_space_group_name_H-M 'P 1 21/c 1'
_symmetry_Int_Tables_number 14
_symmetry_space_group_name_Hall '-P 2ybc'
loop_
_atom_site_label
_atom_site_fract_x
_atom_site_fract_y
_atom_site_fract_z
_atom_site_occupancy
Sn1 0.118 0.069 0.278 1
Ge1 0.298 0.719 0.486 1
S1 0.054 0.665 0.906 1
S2 0.207 0.520 0.427 1
S3 0.483 0.732 0.797 1
```

=====

(3)
The following is a PBE calculation of SiO2 after structural relaxation, from the Materials Project database.

Total magnetic moment   0.00 μB per formula unit
Theoretical density   1.62 g/cm³
V   61.42 Å³/f.u.
Energy of formation from the pure elements   -3.060 eV/atom

```
data_SiO2
_chemical_formula_sum 'Si32 O64'
_cell_length_a 19.345
_cell_length_b 18.792
_cell_length_c 5.452
_cell_angle_alpha 90.00
_cell_angle_beta 97.34
_cell_angle_gamma 90.00
_symmetry_space_group_name_H-M 'C 1 2/m 1'
_symmetry_Int_Tables_number 12
_symmetry_space_group_name_Hall '-C 2y'
loop_
_atom_site_label
_atom_site_fract_x
_atom_site_fract_y
_atom_site_fract_z
_atom_site_occupancy
Si1 0.058 0.000 0.459 1
Si2 0.059 0.500 0.464 1
Si3 0.175 0.425 0.291 1
Si4 0.178 0.076 0.640 1
Si5 0.249 0.308 0.079 1
O1 0.018 0.000 0.718 1
O2 0.019 0.500 0.717 1
O3 0.106 0.428 0.435 1
O4 0.107 0.071 0.440 1
O5 0.174 0.500 0.133 1
O6 0.177 0.000 0.795 1
O7 0.179 0.355 0.110 1
O8 0.182 0.144 0.825 1
O9 0.248 0.422 0.486 1
O10 0.250 0.226 0.203 1
```

=====

(4)
The following is a PBE calculation of Tm2Ga3Fe14 after structural relaxation, from the Materials Project database.

Total magnetic moment   28.51 μB per formula unit
Theoretical density   8.52 g/cm³
V   259.03 Å³/f.u.
Energy of formation from the pure elements   -0.117 eV/atom

```
data_Tm2Ga3Fe14
_chemical_formula_sum 'Tm4 Ga6 Fe28'
_cell_length_a 8.5138
_cell_length_b 8.5138
_cell_length_c 8.2528
_cell_angle_alpha 90.00
_cell_angle_beta 90.00
_cell_angle_gamma 120.00
_symmetry_space_group_name_H-M 'P 63/m m c'
_symmetry_Int_Tables_number 194
_symmetry_space_group_name_Hall '-P 6c 2c'
loop_
_atom_site_label
_atom_site_fract_x
_atom_site_fract_y
_atom_site_fract_z
_atom_site_occupancy
Tm1 0.0000 0.0000 0.2500 1
Tm2 0.3333 0.6667 0.2500 1
Ga1 0.0000 0.5000 0.0000 1
Fe1 0.0264 0.3476 0.7500 1
Fe2 0.1648 0.3296 0.0130 1
Fe3 0.3333 0.6667 0.6113 1
```

=====

(5)
The following is a PBE calculation of Dy2ZnRh after structural relaxation, from the Materials Project database.

Total magnetic moment   0.01 μB per formula unit
Theoretical density   9.62 g/cm³
V   85.17 Å³/f.u.
Energy of formation from the pure elements   -0.605 eV/atom

```
data_Dy2ZnRh
_chemical_formula_sum 'Dy8 Zn4 Rh4'
_cell_length_a 6.984
_cell_length_b 6.984
_cell_length_c 6.984
_cell_angle_alpha 90.00
_cell_angle_beta 90.00
_cell_angle_gamma 90.00
_symmetry_space_group_name_H-M 'F m -3 m'
_symmetry_Int_Tables_number 225
_symmetry_space_group_name_Hall '-F 4 2 3'
loop_
_atom_site_label
_atom_site_fract_x
_atom_site_fract_y
_atom_site_fract_z
_atom_site_occupancy
Dy1 0.250 0.250 0.250 1
Zn1 0.000 0.000 0.000 1
Rh1 0.000 0.000 0.500 1
```

=====

(6)
The following is a PBE calculation of Mg6AlCuO8 after structural relaxation, from the Materials Project database.

Total magnetic moment   0.10 μB per formula unit
Theoretical density   3.92 g/cm³
V   154.51 Å³/f.u.
Energy of formation from the pure elements   -2.780 eV/atom

```
data_Mg6AlCuO8
_chemical_formula_sum 'Mg6 Al1 Cu1 O8'
_cell_length_a 4.220
_cell_length_b 4.220
_cell_length_c 8.675
_cell_angle_alpha 90.00
_cell_angle_beta 90.00
_cell_angle_gamma 90.00
_symmetry_space_group_name_H-M 'P 4/m m m'
_symmetry_Int_Tables_number 123
_symmetry_space_group_name_Hall '-P 4 2'
loop_
_atom_site_label
_atom_site_fract_x
_atom_site_fract_y
_atom_site_fract_z
_atom_site_occupancy
Mg1 0.000 0.000 0.000 1
Mg2 0.000 0.000 0.500 1
Mg3 0.000 0.500 0.242 1
Al1 0.500 0.500 0.500 1
Cu1 0.500 0.500 0.000 1
O1 0.000 0.000 0.251 1
O2 0.000 0.500 0.000 1
O3 0.000 0.500 0.500 1
O4 0.500 0.500 0.290 1
```

=====

Look up the energy of formation from the pure elements of the first one.
-2.353 eV/atom

=====

Repeat the second record exactly.
The following is a PBE calculation of SnGeS3 after structural relaxation, from the Materials Project database.

Theoretical density   3.41 g/cm³
V   139.84 Å³/f.u.
Energy of formation from the pure elements   -0.685 eV/atom

```
data_SnGeS3
_chemical_formula_sum 'Sn4 Ge4 S12'
_cell_length_a 7.880
_cell_length_b 10.640
_cell_length_c 6.919
_cell_angle_alpha 90.00
_cell_angle_beta 105.37
_cell_angle_gamma 90.00
_symmetry_space_group_name_H-M 'P 1 21/c 1'
_symmetry_Int_Tables_number 14
_symmetry_space_group_name_Hall '-P 2ybc'
loop_
_atom_site_label
_atom_site_fract_x
_atom_site_fract_y
_atom_site_fract_z
_atom_site_occupancy
Sn1 0.118 0.069 0.278 1
Ge1 0.298 0.719 0.486 1
S1 0.054 0.665 0.906 1
S2 0.207 0.520 0.427 1
S3 0.483 0.732 0.797 1
```

=====

Look up the theoretical density of the fourth one.
8.52 g/cm³

=====

What is the formula in the third record?
SiO2